Entry 1:
Below is a relaxed structure of Ba2Tb2Co4O11, with properties calculated at the PBE+U level.

Size of the total moment ... 12.02 μB per formula unit
ΔH_f (0 K) ... -2308 meV/atom
E_tot ... -6.616 eV/atom
Symmetry ... Pmmm

```
19
Lattice="-1.674 -0.482 -3.513 -1.587 -7.315 1.761 -6.924 2.223 2.996" Properties=species:S:1:pos:R:3 pbc="T T T"
O -2.070 -1.706 1.221
Tb -6.671 -2.280 1.305
Co -4.646 -4.346 2.811
Tb -3.514 -3.294 -0.061
O -5.445 -4.411 1.013
O -1.338 -2.550 -1.200
O 0.000 0.000 0.000
O -6.441 -3.386 3.535
O -3.462 1.111 1.498
Co -1.174 -5.413 1.303
O -2.695 -4.589 1.915
Ba -6.034 1.427 0.492
O -1.923 -5.247 -0.551
Ba -2.565 0.313 -1.009
Co -3.865 -0.746 1.945
O -4.255 -2.546 2.378
O -4.740 -1.163 0.231
Co -0.412 -1.902 0.458
O -5.816 -0.503 2.841
```

---

Entry 2:
Below is a relaxed structure of Na3CoO3, with properties calculated at the PBE+U level.

ΔH_f (0 K) ... -1555 meV/atom
E_tot ... -4.730 eV/atom
Offset from the most stable computed form ... 19.0 meV per atom

```
28
Lattice="0.000 0.000 4.779 0.000 10.279 0.000 -8.390 0.000 0.000" Properties=species:S:1:pos:R:3 pbc="T T T"
Na -2.310 6.260 3.584
Na -6.080 6.260 3.584
Co -4.195 7.169 1.195
Na 0.000 6.162 1.195
O -1.595 1.268 1.195
Na -4.195 9.256 3.584
O -2.600 6.407 1.195
O -5.790 6.407 1.195
O -6.794 1.268 1.195
Co 0.000 8.249 3.584
Co 0.000 2.029 1.195
O 0.000 6.457 3.584
Na 0.000 4.117 3.584
Na -1.885 1.120 3.584
Co -4.195 3.110 3.584
Na -6.080 4.019 1.195
O -4.195 8.961 1.195
Na -1.885 9.158 1.195
O -4.195 1.318 3.584
Na -6.505 9.158 1.195
O -6.795 9.011 3.584
O -5.790 3.871 3.584
O -1.595 9.011 3.584
O -2.600 3.871 3.584
O 0.000 3.821 1.195
Na -2.310 4.019 1.195
Na -6.505 1.120 3.584
Na -4.195 1.023 1.195
```

---

Entry 3:
Below is a relaxed structure of MgMn6O6F6, with properties calculated at the PBE+U level.

Size of the total moment ... 25.94 μB per formula unit
ΔH_f (0 K) ... -2411 meV/atom
E_tot ... -6.666 eV/atom
Offset from the most stable computed form ... 50.1 meV per atom
Symmetry ... P1

```
19
Lattice="5.342 -0.417 0.001 -1.298 14.455 -0.004 0.000 -0.001 3.070" Properties=species:S:1:pos:R:3 pbc="T T T"
Mn -0.917 14.237 3.041
Mn -0.371 4.806 0.120
O -0.216 13.314 1.511
O 3.523 3.018 3.026
Mn 2.907 1.762 1.493
Mn 1.308 11.846 1.514
Mn 1.665 7.466 1.494
F 3.485 5.321 1.484
O 0.488 10.940 3.049
F 1.115 3.880 1.487
Mn 4.210 9.398 3.043
O 2.640 8.204 3.032
O 1.064 6.188 3.026
F -0.201 8.640 1.503
O 1.934 1.029 3.030
F 4.713 0.519 1.499
Mg 2.300 4.613 2.989
F 2.462 12.749 3.049
F 3.278 10.442 1.511
```

---

Entry 4:
Below is a relaxed structure of Na9ScMo6O24, with properties calculated at the PBE+U level.

Size of the total moment ... 0.00 μB per formula unit
ΔH_f (0 K) ... -2249 meV/atom
E_tot ... -6.408 eV/atom
Symmetry ... R-3

```
80
Lattice="7.638 4.410 6.489 -7.638 4.410 6.489 0.000 -8.819 6.489" Properties=species:S:1:pos:R:3 pbc="T T T"
Na -3.573 0.235 10.721
Mo -4.720 -4.653 10.218
O -1.925 -4.109 13.217
Na -4.243 4.243 7.457
O 5.533 2.577 5.363
O -1.533 -0.951 15.583
O 1.925 4.109 6.250
Na 1.583 -3.212 10.721
O -1.575 -0.817 6.125
O 4.998 -3.503 14.103
Mo -2.947 -0.018 7.042
Na 3.573 -0.235 8.746
Na -1.656 2.986 4.957
O 2.853 1.465 7.144
Mo -1.489 2.543 12.424
O -2.139 2.199 10.796
Mo 1.458 2.561 7.042
Na -1.553 -5.796 7.457
O 0.534 6.080 14.103
Na -5.796 -1.553 12.010
O -4.885 2.703 9.188
Na -1.990 -2.977 8.746
O 1.495 -0.956 6.125
Na 1.990 2.977 10.721
O -5.978 0.109 9.822
O -2.895 5.232 9.645
O -0.102 5.582 10.278
O 1.590 -0.852 15.583
O 3.084 5.123 9.822
O -2.853 -1.465 12.323
O 2.695 -1.739 12.323
O 1.575 0.817 13.341
O 2.974 0.753 10.796
O 0.080 1.773 6.125
O 4.783 2.879 9.188
O -0.835 -2.952 10.796
O -1.590 0.852 3.884
O -0.057 1.803 15.583
Mo 6.390 -1.761 10.218
O 0.057 -1.803 3.884
O 4.521 0.387 13.217
O -0.080 -1.773 13.341
O 0.158 3.204 12.323
Mo 2.947 0.018 12.424
O -1.495 0.956 13.341
Na 1.553 5.796 12.010
O 2.596 -3.722 6.250
O 1.533 0.951 3.884
O -0.534 -6.080 5.363
Na 3.414 -0.059 4.957
O 5.978 -0.109 9.645
Mo 1.489 -2.543 7.042
Sc 0.000 0.000 14.495
O -3.084 -5.123 9.645
Sc 0.000 0.000 4.972
Na 5.796 1.553 7.457
O -4.783 -2.879 10.278
O -4.998 3.503 5.363
Na 1.758 2.927 14.510
Na 1.656 -2.986 14.510
O -2.695 1.739 7.144
O 2.139 -2.199 8.670
O 2.895 -5.232 9.822
Mo -6.390 1.761 9.249
O -0.158 -3.204 7.144
Na -1.758 -2.927 4.957
Mo -1.670 6.415 10.218
O 0.102 -5.582 9.188
Mo -1.458 -2.561 12.424
Na 4.243 -4.243 12.010
O -4.521 -0.387 6.250
Na -3.414 0.059 14.510
O 4.885 -2.703 10.278
Na -1.583 3.212 8.746
O -2.974 -0.753 8.670
O -2.596 3.722 13.217
Mo 4.720 4.653 9.249
O 0.835 2.952 8.670
O -5.533 -2.577 14.103
Mo 1.670 -6.415 9.249
```

---

Entry 5:
Below is a relaxed structure of Na3Ni2P2C2O14, with properties calculated at the PBE+U level.

Size of the total moment ... 3.00 μB per formula unit
ΔH_f (0 K) ... -1958 meV/atom
E_tot ... -6.279 eV/atom
Offset from the most stable computed form ... 34.0 meV per atom
Symmetry ... Pc

```
46
Lattice="-2.171 2.038 5.763 5.873 -5.310 4.090 7.101 7.411 0.053" Properties=species:S:1:pos:R:3 pbc="T T T"
C 5.383 -2.834 6.656
O 7.590 5.538 3.177
C 4.386 7.983 6.113
O 4.265 -2.444 3.831
O 3.093 0.118 4.779
P 7.940 1.698 2.400
O 9.314 3.267 9.647
O 5.548 8.520 6.362
P 7.532 5.109 4.671
O 3.051 1.337 7.954
O 8.928 4.832 5.242
O 6.454 2.541 7.474
O 4.302 6.736 6.516
O 3.222 2.599 5.319
O 4.159 2.784 0.597
O 2.909 1.005 0.763
O 6.647 3.821 4.798
C 8.919 0.886 6.722
Na 5.360 0.428 7.591
Na 4.276 4.767 5.301
Na 0.729 1.084 5.265
Na 1.752 0.097 2.550
O 3.007 -1.122 7.450
O 4.070 1.834 3.174
O 6.539 1.976 1.793
O 6.811 6.300 5.349
O 9.000 2.106 6.274
O 7.907 1.316 3.893
O 8.758 3.017 2.255
P 2.225 0.025 8.121
Na 10.143 2.976 4.345
O 7.752 0.356 6.519
O 7.929 -2.473 3.869
Ni 4.820 1.050 1.458
O 5.437 -1.587 6.282
C 2.996 2.248 0.350
Ni 6.209 6.786 7.226
O 4.245 -3.391 6.375
O 0.458 1.879 3.145
O 0.835 0.293 7.483
Na 5.305 3.828 2.572
P 3.976 1.409 4.660
Ni 3.531 -1.665 5.573
O 4.000 5.592 3.194
Ni 7.084 2.038 5.594
O 5.340 1.161 5.314
```

---

Entry 6:
Below is a relaxed structure of NaVAsO5, with properties calculated at the PBE+U level.

Size of the total moment ... 1.00 μB per formula unit
ΔH_f (0 K) ... -2162 meV/atom
E_tot ... -6.496 eV/atom
Symmetry ... P2_1/c

```
32
Lattice="-8.152 0.151 3.518 0.805 -6.412 2.139 2.838 -0.631 6.603" Properties=species:S:1:pos:R:3 pbc="T T T"
O -3.865 -5.171 9.402
V -4.076 -4.965 7.389
O -2.142 -4.384 7.355
O -4.319 -4.873 5.684
O 2.456 -2.886 6.737
O -4.298 -0.500 5.295
Na 2.059 -5.308 6.735
As -0.812 -5.222 8.071
Na -6.567 -1.583 5.525
V -1.715 -1.614 1.511
O -0.190 -2.019 6.576
Na -2.337 -1.951 7.613
As 0.771 -4.962 3.474
O -3.294 -0.975 2.656
O -4.545 -3.024 7.682
As -3.696 -1.670 4.189
O -0.483 -6.098 3.169
O 0.528 -4.166 8.279
O 1.503 -1.353 4.500
V -0.432 -1.927 4.871
O -1.215 -5.916 9.604
O -0.644 -1.721 2.858
O -0.211 -6.392 6.965
O -5.037 -2.725 3.981
O -6.964 -4.006 5.523
As -5.279 -1.930 8.786
O -6.012 -5.538 7.761
Na -2.172 -4.941 4.647
O -4.025 -0.794 9.091
O -2.367 -2.508 4.905
V -2.793 -5.278 10.750
O 0.036 -3.868 4.578
```

---

Entry 7:
Below is a relaxed structure of SrLaMnCoO6, with properties calculated at the PBE+U level.

Size of the total moment ... 6.99 μB per formula unit
ΔH_f (0 K) ... -2486 meV/atom
E_tot ... -7.002 eV/atom
Symmetry ... F-43m

```
10
Lattice="4.885 -2.478 0.207 0.300 -5.473 -0.025 1.934 -2.618 -4.410" Properties=species:S:1:pos:R:3 pbc="T T T"
Co 1.780 -2.642 -1.057
O 5.999 -6.529 -2.015
O 4.529 -6.599 -4.315
O 3.716 -8.020 -2.131
O 4.679 -9.324 -4.327
O 6.962 -7.833 -4.212
La 0.000 0.000 0.000
Mn 5.339 -7.927 -3.171
Sr 3.559 -5.284 -2.114
O 6.148 -9.254 -2.028
```

---

Entry 8:
Below is a relaxed structure of Li10FeSi2O10, with properties calculated at the PBE+U level.

Size of the total moment ... 4.00 μB per formula unit
ΔH_f (0 K) ... -2447 meV/atom
E_tot ... -5.872 eV/atom
Symmetry ... C2/m

```
46
Lattice="-5.245 -13.011 -6.203 -2.668 -15.072 -0.986 -4.648 -0.140 2.240" Properties=species:S:1:pos:R:3 pbc="T T T"
O -4.040 -11.343 -2.487
Li -10.493 -24.479 -4.492
O -3.311 -14.558 -2.288
Li -8.117 -11.838 -2.185
O -7.272 -17.276 -4.811
O -5.132 -2.736 1.453
Fe -8.440 -27.088 -6.536
O -6.161 -18.165 -2.561
Si -6.776 -21.943 -5.325
O -5.496 -7.731 -0.341
O -9.839 -19.025 -4.670
O -6.214 -15.516 -3.063
Li -8.919 -20.605 -3.737
Li -7.048 -12.694 -0.021
Si -7.039 -16.940 -3.218
O -6.400 -10.058 -2.389
O -7.429 -25.487 -6.403
Li -5.872 -8.113 -2.180
Li -6.688 -20.110 -2.770
O -4.140 -8.063 -3.152
Li -4.764 -9.795 -3.596
Fe -4.121 -1.135 1.586
Li -4.444 -16.384 -2.765
O -2.593 -6.030 -1.102
Li -5.512 -15.529 -4.929
Si -5.521 -11.283 -1.732
Li -2.068 -3.743 -0.458
O -5.289 -10.947 -0.139
Si -5.785 -6.280 0.375
Li -8.010 -19.053 -5.447
O -7.065 -20.491 -4.609
Li -6.914 -9.262 -0.246
Li -5.086 -13.810 -2.946
Li -5.647 -18.961 -4.704
O -4.602 -13.525 -4.902
Li -7.797 -18.428 -1.354
Li -9.263 -17.255 -4.323
O -2.722 -9.197 -0.280
Li -3.298 -10.968 -0.627
Li -4.551 -9.170 0.497
O -8.521 -16.880 -2.462
O -6.347 -12.706 -1.887
Li -7.475 -14.413 -2.004
O -8.421 -20.160 -1.798
O -9.967 -22.193 -3.848
Li -3.641 -7.618 -1.212
```